# K2Nd2MgS4O16

A relaxed K2Nd2MgS4O16 crystal (PBE-GGA, Materials Project).

Summary:
Its total energy is -156.33 eV for the cell shown. For the total magnetization, the calculation gives 0.00 μB/f.u. The calculation puts the volume at 15.14 Å³/atom. The calculation puts the energy above the most stable polymorph in this dataset at 0.0278 eV/atom.

Cell: 5.518 7.174 9.804 Å, 79.18 83.74 86.50°
Positions (direct):
K  0.000  0.000  0.000
K  0.489  0.663  0.278
Nd  0.006  0.139  0.447
Nd  0.501  0.510  0.894
Mg  0.550  0.389  0.562
S  0.004  0.500  0.082
S  0.070  0.595  0.610
S  0.493  0.139  0.226
S  0.495  0.030  0.732
O  0.048  0.768  0.504
O  0.082  0.374  0.979
O  0.153  0.430  0.538
O  0.215  0.628  0.074
O  0.274  0.610  0.697
O  0.291  0.011  0.223
O  0.291  0.046  0.644
O  0.399  0.274  0.319
O  0.456  0.879  0.858
O  0.502  0.221  0.780
O  0.567  0.242  0.081
O  0.711  0.026  0.280
O  0.733  0.995  0.655
O  0.788  0.624  0.034
O  0.840  0.554  0.702
O  0.943  0.400  0.225